(1)
# YInNi

A geometry-optimized YInNi structure (PBE, the Materials Project).

Values from the calculation:
uncorrected energy	-5.50	eV per atom
ΔE_f	-145.7	kJ/mol of formula units

```
YInNi
1.0
3.761 -6.514 0.000
3.761 6.514 0.000
0.000 0.000 3.763
Ni In Y
3 3 3
Cartesian
3.761 -2.171 0.000
0.000 0.000 1.882
3.761 2.171 0.000
5.608 0.000 0.000
0.957 -1.657 0.000
0.957 1.657 0.000
2.217 3.840 1.882
3.088 0.000 1.882
2.217 -3.840 1.882
```

=====

(2)
# YIn2Ni

A geometry-optimized YIn2Ni structure (PBE, the Materials Project).

Values from the calculation:
uncorrected energy	-4.88	eV per atom
ΔE_f	-169.6	kJ/mol of formula units

```
YIn2Ni
1.0
-1.243 1.547 5.326
-2.270 0.983 -5.117
-4.262 -5.981 0.742
In Ni Y
4 2 2
Cartesian
-2.113 0.890 -1.355
-3.950 -1.939 2.008
-3.826 -1.513 -1.057
-5.662 -4.342 2.307
-2.527 -0.069 3.288
-5.248 -3.383 -2.337
-3.266 -0.474 -4.221
-4.510 -2.977 5.173
```

=====

(3)
# Np3In

A geometry-optimized Np3In structure (PBE, the Materials Project).

Values from the calculation:
magnetic moment	13.020	μB/cell
uncorrected energy	-9.96	eV per atom
ΔE_f	169.9	kJ/mol of formula units

```
Np3In
1.0
-4.297 0.238 -1.572
-1.243 -3.327 2.894
-0.991 3.140 3.185
Np In
3 1
Cartesian
-2.770 -1.545 0.661
-1.117 -0.093 3.039
-2.644 1.689 0.807
0.000 0.000 0.000
```